# 1
Material: CsPrS2
Method: DFT, PBE
State: relaxed

a = 8.4721 Å, b = 8.4721 Å, c = 8.4721 Å
α = 29.32°, β = 29.32°, γ = 29.32°
Closest atoms and distances in Å follow each position.
Positions (direct):
1 Cs 0.0000 0.0000 0.0000  6 S 3.54
2 Pr 0.5000 0.5000 0.5000  6 S 2.90
3 S 0.2292 0.2292 0.2292  3 Pr 2.90
4 S 0.7708 0.7708 0.7708  3 Pr 2.90

Properties
Volume ... 129.00 Å³/f.u.
Formation enthalpy at 0 K ... -2.04 eV per atom
Total energy ... -5.276 eV/atom
SG ... R-3m
Mass density ... 4.350 g/cm³

=====

# 2
Material: LiAlSiO4
Method: DFT, PBE
State: relaxed

a = 10.5880 Å, b = 10.5880 Å, c = 11.3850 Å
α = 90.00°, β = 90.00°, γ = 120.00°
Closest atoms and distances in Å follow each position.
Positions (direct):
1 Li 0.0000 0.0000 0.0000  4 O 2.01
2 Li 0.0000 0.0000 0.3333  4 O 2.01
3 Li 0.0000 0.0000 0.6667  4 O 2.01
4 Li 0.0000 0.5000 0.1614  4 O 2.02-2.04
5 Li 0.0000 0.5000 0.5053  4 O 2.02-2.04
6 Li 0.0000 0.5000 0.8333  4 O 2.06
7 Li 0.5000 0.0000 0.1719  4 O 2.02-2.04
8 Li 0.5000 0.0000 0.5000  4 O 2.06
9 Li 0.5000 0.0000 0.8281  4 O 2.02-2.04
10 Li 0.5000 0.5000 0.1667  4 O 2.06
11 Li 0.5000 0.5000 0.4947  4 O 2.02-2.04
12 Li 0.5000 0.5000 0.8386  4 O 2.02-2.04
13 Al 0.0000 0.2510 0.3333  4 O 1.75-1.76
14 Al 0.0000 0.7490 0.3333  4 O 1.75-1.76
15 Al 0.2510 0.0000 0.0000  4 O 1.75-1.76
16 Al 0.2510 0.2510 0.6667  4 O 1.75-1.76
17 Al 0.2512 0.5024 0.0000  4 O 1.75
18 Al 0.2512 0.7488 0.6667  4 O 1.75
19 Al 0.4976 0.7488 0.3333  4 O 1.75
20 Al 0.5024 0.2512 0.3333  4 O 1.75
21 Al 0.7490 0.0000 0.0000  4 O 1.75-1.76
22 Al 0.7488 0.2512 0.6667  4 O 1.75
23 Al 0.7488 0.4976 0.0000  4 O 1.75
24 Al 0.7490 0.7490 0.6667  4 O 1.75-1.76
25 Si 0.0000 0.2474 0.8333  4 O 1.64
26 Si 0.0000 0.7526 0.8333  4 O 1.64
27 Si 0.2474 0.0000 0.5000  4 O 1.64
28 Si 0.2474 0.2474 0.1667  4 O 1.64
29 Si 0.2483 0.4965 0.5000  4 O 1.64
30 Si 0.2483 0.7517 0.1667  4 O 1.64
31 Si 0.4965 0.2483 0.8333  4 O 1.64
32 Si 0.5035 0.7517 0.8333  4 O 1.64
33 Si 0.7517 0.2483 0.1667  4 O 1.64
34 Si 0.7517 0.5035 0.5000  4 O 1.64
35 Si 0.7526 0.0000 0.5000  4 O 1.64
36 Si 0.7526 0.7526 0.1667  4 O 1.64
37 O 0.0870 0.1978 0.7426  1 Si 1.64, 1 Al 1.76
38 O 0.0870 0.8892 0.9241  1 Si 1.64, 1 Al 1.76
39 O 0.0966 0.3996 0.4269  1 Si 1.64, 1 Al 1.75
40 O 0.0966 0.6970 0.2397  1 Si 1.64, 1 Al 1.75
41 O 0.1058 0.3995 0.9040  1 Si 1.64, 1 Al 1.75
42 O 0.1058 0.7062 0.7627  1 Si 1.64, 1 Al 1.75
43 O 0.1108 0.1978 0.2574  1 Si 1.64, 1 Al 1.76
44 O 0.1108 0.9130 0.4092  1 Si 1.64, 1 Al 1.76
45 O 0.1978 0.0870 0.5908  1 Si 1.64, 1 Al 1.76
46 O 0.1978 0.1108 0.0759  1 Si 1.64, 1 Al 1.76
47 O 0.2000 0.5918 0.5824  1 Si 1.64, 1 Al 1.75
48 O 0.2000 0.6082 0.0843  1 Si 1.64, 1 Al 1.75
49 O 0.2938 0.3995 0.0960  1 Si 1.64, 1 Al 1.75
50 O 0.2938 0.8942 0.5706  1 Si 1.64, 1 Al 1.75
51 O 0.3030 0.3996 0.5731  1 Si 1.64, 1 Al 1.75
52 O 0.3030 0.9034 0.0936  1 Si 1.64, 1 Al 1.75
53 O 0.3918 0.5918 0.4176  1 Si 1.64, 1 Al 1.75
54 O 0.3918 0.8000 0.2491  1 Si 1.64, 1 Al 1.75
55 O 0.3996 0.0966 0.9064  1 Si 1.64, 1 Al 1.75
56 O 0.3995 0.1058 0.4294  1 Si 1.64, 1 Al 1.75
57 O 0.3995 0.2938 0.2373  1 Si 1.64, 1 Al 1.75
58 O 0.3996 0.3030 0.7603  1 Si 1.64, 1 Al 1.75
59 O 0.4082 0.6082 0.9157  1 Si 1.64, 1 Al 1.75
60 O 0.4082 0.8000 0.7509  1 Si 1.64, 1 Al 1.75
61 O 0.5918 0.2000 0.7509  1 Si 1.64, 1 Al 1.75
62 O 0.5918 0.3918 0.9157  1 Si 1.64, 1 Al 1.75
63 O 0.6004 0.6970 0.7603  1 Si 1.64, 1 Al 1.75
64 O 0.6005 0.7062 0.2373  1 Si 1.64, 1 Al 1.75
65 O 0.6005 0.8942 0.4294  1 Si 1.64, 1 Al 1.75
66 O 0.6004 0.9034 0.9064  1 Si 1.64, 1 Al 1.75
67 O 0.6082 0.2000 0.2491  1 Si 1.64, 1 Al 1.75
68 O 0.6082 0.4082 0.4176  1 Si 1.64, 1 Al 1.75
69 O 0.6970 0.0966 0.0936  1 Si 1.64, 1 Al 1.75
70 O 0.6970 0.6004 0.5731  1 Si 1.64, 1 Al 1.75
71 O 0.7062 0.1058 0.5706  1 Si 1.64, 1 Al 1.75
72 O 0.7062 0.6005 0.0960  1 Si 1.64, 1 Al 1.75
73 O 0.8000 0.3918 0.0843  1 Si 1.64, 1 Al 1.75
74 O 0.8000 0.4082 0.5824  1 Si 1.64, 1 Al 1.75
75 O 0.8022 0.8892 0.0759  1 Si 1.64, 1 Al 1.76
76 O 0.8022 0.9130 0.5908  1 Si 1.64, 1 Al 1.76
77 O 0.8892 0.0870 0.4092  1 Si 1.64, 1 Al 1.76
78 O 0.8892 0.8022 0.2574  1 Si 1.64, 1 Al 1.76
79 O 0.8942 0.2938 0.7627  1 Si 1.64, 1 Al 1.75
80 O 0.8942 0.6005 0.9040  1 Si 1.64, 1 Al 1.75
81 O 0.9034 0.3030 0.2397  1 Si 1.64, 1 Al 1.75
82 O 0.9034 0.6004 0.4269  1 Si 1.64, 1 Al 1.75
83 O 0.9130 0.1108 0.9241  1 Si 1.64, 1 Al 1.76
84 O 0.9130 0.8022 0.7426  1 Si 1.64, 1 Al 1.76

Properties
Volume ... 92.11 Å³/f.u.
Size of the total moment ... 0.0000 μB/atom
Formation enthalpy at 0 K ... -3.20 eV per atom
Total energy ... -7.222 eV/atom
SG ... P6_422
Mass density ... 2.272 g/cm³

=====

Q: Number 1 is which compound?
A: CsPrS2

=====

Q: Among the records above, which one has the lowest mass density?
A: LiAlSiO4

=====

Q: Number 2 is which compound?
A: LiAlSiO4